First-principles (meta-GGA r2SCAN) data for crystalline Hf2RuRh at its relaxed geometry, as listed in the Materials Project database.

Results
Energy of formation from the pure elements (meV/atom): -885
Mass density (g/cm3): 13.7
Size of the total moment (μB/cell): 0.00

Cell: 4.5776 4.5776 4.5776 Å, 60.00 60.00 60.00°
With the nearest neighbours (Å) after each atom.
Atoms (fractional coordinates):
Rh (0.2500, 0.2500, 0.2500)  8 Hf 2.80
Hf (0.0000, 0.0000, 0.0000)  4 Ru 2.80, 4 Rh 2.80
Hf (0.5000, 0.5000, 0.5000)  4 Ru 2.80, 4 Rh 2.80
Ru (0.7500, 0.7500, 0.7500)  8 Hf 2.80

=====

First-principles (meta-GGA r2SCAN) data for crystalline HfSiRh at its relaxed geometry, as listed in the Materials Project database.

Results
Energy of formation from the pure elements (meV/atom): -1129
Mass density (g/cm3): 11.0
Size of the total moment (μB/cell): 0.00

Cell: 3.8969 6.4822 7.4021 Å, 90.00 90.00 90.00°
With the nearest neighbours (Å) after each atom.
Atoms (fractional coordinates):
Rh (0.7500, 0.3507, 0.5667)  4 Si 2.42-2.48
Rh (0.7500, 0.8507, 0.9333)  4 Si 2.42-2.48
Rh (0.2500, 0.6493, 0.4333)  4 Si 2.42-2.48
Rh (0.2500, 0.1493, 0.0667)  4 Si 2.42-2.48
Si (0.2500, 0.2736, 0.3837)  4 Rh 2.42-2.48
Si (0.2500, 0.7736, 0.1163)  4 Rh 2.42-2.48
Si (0.7500, 0.2264, 0.8837)  4 Rh 2.42-2.48
Si (0.7500, 0.7264, 0.6163)  4 Rh 2.42-2.48
Hf (0.7500, 0.9800, 0.3145)  5 Si 2.77-2.78, 6 Rh 2.89-3.04
Hf (0.7500, 0.4800, 0.1855)  5 Si 2.77-2.78, 6 Rh 2.89-3.04
Hf (0.2500, 0.5200, 0.8145)  5 Si 2.77-2.78, 6 Rh 2.89-3.04
Hf (0.2500, 0.0200, 0.6855)  5 Si 2.77-2.78, 6 Rh 2.89-3.04